# 1
K3TiFeH4S4O19: optimized geometry, PBE+U.

The total magnetic moment is 20.01 Bohr magnetons per cell. The calculation puts the excess energy over the best structure of this formula in the dataset at 0 meV per atom. The formation energy comes out at -2.046 eV per atom. The crystal system is monoclinic.

abc: 7.774 16.984 12.436
angles: 90.00 95.14 90.00
Space group Cc (No. 9)
Asymmetric unit:
K 0.000 0.027 0.000 (multiplicity 4)
K 0.249 0.251 0.251 (multiplicity 4)
K 0.499 0.113 0.001 (multiplicity 4)
Ti 0.112 0.393 0.893 (multiplicity 4)
Fe 0.378 0.110 0.615 (multiplicity 4)
H 0.156 0.196 0.706 (multiplicity 4)
H 0.208 0.122 0.783 (multiplicity 4)
H 0.292 0.377 0.717 (multiplicity 4)
H 0.342 0.304 0.794 (multiplicity 4)
S 0.000 0.226 0.001 (multiplicity 4)
S 0.238 0.463 0.239 (multiplicity 4)
S 0.261 0.037 0.261 (multiplicity 4)
S 0.499 0.319 0.000 (multiplicity 4)
O 0.003 0.429 0.998 (multiplicity 4)
O 0.006 0.230 0.403 (multiplicity 4)
O 0.035 0.281 0.907 (multiplicity 4)
O 0.084 0.408 0.225 (multiplicity 4)
O 0.108 0.086 0.250 (multiplicity 4)
O 0.153 0.126 0.514 (multiplicity 4)
O 0.153 0.178 0.029 (multiplicity 4)
O 0.215 0.495 0.847 (multiplicity 4)
O 0.234 0.478 0.653 (multiplicity 4)
O 0.244 0.335 0.761 (multiplicity 4)
O 0.254 0.164 0.739 (multiplicity 4)
O 0.265 0.022 0.847 (multiplicity 4)
O 0.281 0.003 0.653 (multiplicity 4)
O 0.342 0.373 0.985 (multiplicity 4)
O 0.346 0.320 0.467 (multiplicity 4)
O 0.395 0.417 0.253 (multiplicity 4)
O 0.420 0.091 0.278 (multiplicity 4)
O 0.469 0.221 0.596 (multiplicity 4)
O 0.492 0.272 0.098 (multiplicity 4)


# 2
MgTi2V2O6: optimized geometry, PBE+U.

The total magnetic moment is 11.99 Bohr magnetons per cell. The calculation puts the excess energy over the best structure of this formula in the dataset at 0 meV per atom. The formation energy comes out at -2.688 eV per atom. The crystal system is trigonal.

abc: 5.2117 5.2117 15.1814
angles: 90.00 90.00 120.00
Space group R-3 (No. 148, hexagonal axes)
Asymmetric unit:
Mg 0.0000 0.0000 0.0000 (multiplicity 3)
Ti 0.0000 0.0000 0.1732 (multiplicity 6)
V 0.0000 0.0000 0.3480 (multiplicity 6)
O 0.0017 0.6365 0.5841 (multiplicity 18)